Here is Li9Mn2Co5O16 after structural relaxation from the Materials Project database. Energies are from PBE with a Hubbard U.

space-group type = Pm, No. 6
formation enthalpy at 0 K = -1.81 eV/atom
E_tot = -5.80 eV/atom

```
data_Li9Mn2Co5O16
_cell_length_a 2.8856
_cell_length_b 5.8606
_cell_length_c 17.0732
_cell_angle_alpha 89.81
_cell_angle_beta 90.00
_cell_angle_gamma 90.00
_space_group_name_H-M_alt 'P 1'
_space_group_IT_number 1
loop_
_space_group_symop_operation_xyz
'x,y,z'
loop_
_atom_site_label
_atom_site_fract_x
_atom_site_fract_y
_atom_site_fract_z
_atom_site_occupancy
O1 0.0000 0.4840 0.3742 1
O2 0.0000 0.4723 0.8712 1
O3 0.5000 0.2269 0.4978 1
Li1 0.5000 0.7594 0.6269 1
Li2 0.0000 0.9965 0.7410 1
Co1 0.5000 0.7493 0.1288 1
Mn1 0.0000 0.0010 0.9977 1
Mn2 0.0000 0.9952 0.5069 1
O4 0.0000 0.9740 0.1243 1
O5 0.5000 0.2607 0.2555 1
O6 0.5000 0.7709 0.9969 1
O7 0.0000 0.0143 0.3842 1
O8 0.0000 0.5240 0.1302 1
Co2 0.5000 0.2476 0.3773 1
O9 0.0000 0.0023 0.6138 1
O10 0.0000 0.0317 0.8736 1
Co3 0.0000 0.5003 0.2550 1
O11 0.5000 0.2299 0.0005 1
Li3 0.5000 0.2411 0.6269 1
O12 0.5000 0.7338 0.2523 1
Li4 0.0000 0.5005 0.9979 1
O13 0.5000 0.2704 0.7497 1
O14 0.5000 0.7306 0.7508 1
Co4 0.5000 0.2533 0.8673 1
Li5 0.5000 0.7463 0.8674 1
Co5 0.0000 0.5071 0.7338 1
Li6 0.0000 0.5062 0.5100 1
Li7 0.5000 0.7510 0.3783 1
Li8 0.0000 0.9964 0.2517 1
O15 0.0000 0.4996 0.6297 1
O16 0.5000 0.7746 0.5006 1
Li9 0.5000 0.2490 0.1277 1
```